Density functional theory data (GGA-PBE) for a relaxed Cu3O2F2 crystal.

Cell and atoms, written as POSCAR:
```
Cu3O2F2
1.0
-0.969 -1.391 5.327
0.939 -5.881 -1.365
5.036 1.091 -1.235
Cu F O
6 4 4
Direct
0.538 0.883 0.251
0.000 0.500 0.500
0.538 0.617 0.751
0.462 0.117 0.749
0.462 0.383 0.249
0.000 0.000 0.000
0.777 0.387 0.120
0.223 0.887 0.380
0.223 0.613 0.880
0.777 0.113 0.620
0.322 0.126 0.031
0.322 0.374 0.531
0.678 0.874 0.969
0.678 0.626 0.469
```

## Properties
Crystal system: monoclinic
Final energy (eV/atom): -4.67
Formation enthalpy at 0 K (eV/atom): -1.28



Density functional theory data (GGA-PBE) for a relaxed Na4MgZrSiP2O12 crystal.

Cell and atoms, written as POSCAR:
```
Na4MgZrSiP2O12
1.0
9.156 0.000 0.000
-4.578 7.947 0.010
0.000 0.029 22.341
Na P O Si Mg Zr
24 12 72 6 6 6
Direct
0.004 0.995 0.992
0.704 0.027 0.909
0.660 0.323 0.326
0.984 0.690 0.917
0.663 0.323 0.826
0.372 0.351 0.249
0.315 0.354 0.583
0.324 0.668 0.159
0.039 0.354 0.083
0.706 0.690 0.417
0.034 0.691 0.579
0.344 0.668 0.659
0.645 0.947 0.577
0.316 0.285 0.912
0.639 0.626 0.742
0.990 0.995 0.492
0.381 0.019 0.748
0.638 0.019 0.248
0.322 0.027 0.409
0.302 0.947 0.077
0.987 0.626 0.242
0.657 0.691 0.079
0.979 0.351 0.749
0.969 0.285 0.412
0.371 0.336 0.086
0.331 0.371 0.419
0.369 0.036 0.586
0.965 0.336 0.586
0.628 0.666 0.920
0.000 0.295 0.252
0.040 0.371 0.919
0.999 0.702 0.753
0.295 0.295 0.752
0.667 0.036 0.086
0.704 0.702 0.253
0.038 0.666 0.420
0.523 0.683 0.255
0.016 0.822 0.413
0.845 0.319 0.246
0.642 0.516 0.645
0.805 0.822 0.913
0.825 0.990 0.412
0.310 0.825 0.253
0.123 0.639 0.363
0.834 0.029 0.088
0.357 0.481 0.362
0.516 0.639 0.863
0.639 0.118 0.141
0.541 0.685 0.975
0.842 0.526 0.746
0.180 0.973 0.194
0.474 0.319 0.746
0.363 0.878 0.860
0.479 0.118 0.641
0.354 0.494 0.078
0.676 0.167 0.746
0.880 0.357 0.641
0.160 0.683 0.755
0.850 0.304 0.529
0.030 0.816 0.696
0.148 0.454 0.974
0.490 0.167 0.246
0.307 0.454 0.474
0.454 0.304 0.029
0.810 0.789 0.308
0.792 0.973 0.694
0.978 0.789 0.808
0.140 0.494 0.578
0.690 0.148 0.029
0.550 0.854 0.478
0.165 0.990 0.912
0.977 0.818 0.087
0.874 0.516 0.145
0.191 0.176 0.088
0.515 0.878 0.360
0.515 0.825 0.753
0.023 0.209 0.195
0.841 0.818 0.587
0.860 0.503 0.421
0.517 0.856 0.079
0.339 0.856 0.579
0.178 0.192 0.413
0.477 0.357 0.141
0.123 0.481 0.862
0.816 0.030 0.812
0.846 0.541 0.026
0.457 0.148 0.529
0.976 0.187 0.307
0.785 0.816 0.196
0.498 0.652 0.582
0.304 0.854 0.978
0.014 0.192 0.913
0.214 0.030 0.312
0.165 0.471 0.255
0.144 0.685 0.475
0.862 0.358 0.922
0.683 0.526 0.246
0.651 0.156 0.420
0.643 0.503 0.921
0.695 0.541 0.526
0.195 0.029 0.588
0.153 0.652 0.082
0.211 0.187 0.807
0.496 0.358 0.422
0.506 0.156 0.920
0.186 0.209 0.695
0.986 0.176 0.588
0.306 0.471 0.755
0.702 0.004 0.754
0.664 0.629 0.587
0.638 0.969 0.419
0.965 0.629 0.087
0.302 0.004 0.254
0.330 0.969 0.919
0.000 0.001 0.849
0.001 0.001 0.349
0.342 0.669 0.516
0.666 0.331 0.182
0.665 0.331 0.682
0.326 0.669 0.016
0.668 0.334 0.983
0.992 0.995 0.649
0.338 0.675 0.816
0.337 0.675 0.316
0.667 0.334 0.483
0.003 0.995 0.149
```

## Properties
Crystal system: monoclinic
Final energy (eV/atom): -6.85
Formation enthalpy at 0 K (eV/atom): -2.91



Density functional theory data (GGA-PBE) for a relaxed Cr2B3 crystal.

Cell and atoms, written as POSCAR:
```
Cr2B3
1.0
-3.685 5.384 -6.487
1.231 -4.581 7.883
1.408 2.331 1.135
B Cr
6 4
Direct
0.976 0.024 0.250
0.024 0.976 0.750
0.827 0.173 0.750
0.119 0.881 0.750
0.881 0.119 0.250
0.173 0.827 0.250
0.428 0.572 0.750
0.297 0.703 0.250
0.703 0.297 0.750
0.572 0.428 0.250
```

## Properties
Crystal system: orthorhombic
Final energy (eV/atom): -8.30
Formation enthalpy at 0 K (eV/atom): -0.43



- What is the final energy in the third record?
  -8.30 eV/atom



- Which of these has the lowest final energy?
  Cr2B3



- Which of these has the lowest final energy?
  Cr2B3



- The highest final energy belongs to which entry?
  Cu3O2F2